# 1
A relaxed MnP2O8 crystal, computed with PBE with a Hubbard U.

Cell: 5.1327 5.1327 13.5467 Å, 103.90 103.90 57.21°
With the nearest neighbours (Å) after each atom.
Atoms (fractional coordinates):
Mn  0.0000  0.0000  0.0000  6 O 1.92-1.93
Mn  0.0000  0.0000  0.5000  6 O 1.92-1.93
P  0.3379  0.4011  0.6100  4 O 1.51-1.64
P  0.4011  0.3379  0.1100  4 O 1.51-1.64
P  0.5989  0.6621  0.8900  4 O 1.51-1.64
P  0.6621  0.5989  0.3900  4 O 1.51-1.64
O  0.1081  0.2861  0.5933  1 P 1.53
O  0.1566  0.7572  0.6106  1 P 1.54
O  0.2247  0.5905  0.0408  1 P 1.51
O  0.2428  0.8434  0.8894  1 P 1.54
O  0.2861  0.1081  0.0933  1 P 1.53
O  0.3456  0.4822  0.2303  1 O 1.50, 1 P 1.64
O  0.4095  0.7753  0.4592  1 P 1.51
O  0.4822  0.3456  0.7303  1 O 1.50, 1 P 1.64
O  0.5178  0.6544  0.2697  1 O 1.50, 1 P 1.64
O  0.5905  0.2247  0.5408  1 P 1.51
O  0.6544  0.5178  0.7697  1 O 1.50, 1 P 1.64
O  0.7139  0.8919  0.9067  1 P 1.53
O  0.7572  0.1566  0.1106  1 P 1.54
O  0.7753  0.4095  0.9592  1 P 1.51
O  0.8434  0.2428  0.3894  1 P 1.54
O  0.8919  0.7139  0.4067  1 P 1.53

Summary:
crystal system: monoclinic
space group: C2/c (15)

# 2
A relaxed Mn3P4O14 crystal, computed with PBE with a Hubbard U.

Cell: 8.9140 12.4658 10.5968 Å, 90.00 90.00 90.00°
With the nearest neighbours (Å) after each atom.
Atoms (fractional coordinates):
Mn  0.2318  0.2500  0.1186  6 O 2.12-2.20
Mn  0.2469  0.5109  0.6222  4 O 1.88-2.01
Mn  0.2469  0.9891  0.6222  4 O 1.88-2.01
Mn  0.2531  0.0109  0.1222  4 O 1.88-2.01
Mn  0.2531  0.4891  0.1222  4 O 1.88-2.01
Mn  0.2682  0.7500  0.6186  6 O 2.12-2.20
Mn  0.7318  0.2500  0.3814  6 O 2.12-2.20
Mn  0.7469  0.5109  0.8778  4 O 1.88-2.01
Mn  0.7469  0.9891  0.8778  4 O 1.88-2.01
Mn  0.7531  0.0109  0.3778  4 O 1.88-2.01
Mn  0.7531  0.4891  0.3778  4 O 1.88-2.01
Mn  0.7682  0.7500  0.8814  6 O 2.12-2.20
P  0.0661  0.1276  0.8654  4 O 1.50-1.62
P  0.0661  0.3724  0.8654  4 O 1.50-1.62
P  0.0821  0.1310  0.3793  4 O 1.49-1.62
P  0.0821  0.3690  0.3793  4 O 1.49-1.62
P  0.4179  0.6310  0.8793  4 O 1.49-1.62
P  0.4179  0.8690  0.8793  4 O 1.49-1.62
P  0.4339  0.6276  0.3654  4 O 1.50-1.62
P  0.4339  0.8724  0.3654  4 O 1.50-1.62
P  0.5661  0.1276  0.6346  4 O 1.50-1.62
P  0.5661  0.3724  0.6346  4 O 1.50-1.62
P  0.5821  0.1310  0.1207  4 O 1.49-1.62
P  0.5821  0.3690  0.1207  4 O 1.49-1.62
P  0.9179  0.6310  0.6207  4 O 1.49-1.62
P  0.9179  0.8690  0.6207  4 O 1.49-1.62
P  0.9339  0.6276  0.1346  4 O 1.50-1.62
P  0.9339  0.8724  0.1346  4 O 1.50-1.62
O  0.0369  0.2500  0.8211  2 P 1.62
O  0.0891  0.5821  0.1018  1 P 1.54
O  0.0891  0.9179  0.1018  1 P 1.54
O  0.0926  0.6268  0.6279  1 P 1.56
O  0.0926  0.8732  0.6279  1 P 1.56
O  0.1163  0.2500  0.4332  2 P 1.62
O  0.1450  0.0730  0.7579  1 P 1.50
O  0.1450  0.4270  0.7579  1 P 1.50
O  0.1467  0.0510  0.4682  1 P 1.49
O  0.1467  0.4490  0.4682  1 P 1.49
O  0.1482  0.1275  0.2458  1 P 1.53
O  0.1482  0.3725  0.2458  1 P 1.53
O  0.1573  0.1324  0.9884  1 P 1.54
O  0.1573  0.3676  0.9884  1 P 1.54
O  0.3427  0.6324  0.4884  1 P 1.54
O  0.3427  0.8676  0.4884  1 P 1.54
O  0.3518  0.6275  0.7458  1 P 1.53
O  0.3518  0.8725  0.7458  1 P 1.53
O  0.3533  0.5510  0.9682  1 P 1.49
O  0.3533  0.9490  0.9682  1 P 1.49
O  0.3550  0.5730  0.2579  1 P 1.50
O  0.3550  0.9270  0.2579  1 P 1.50
O  0.3837  0.7500  0.9332  2 P 1.62
O  0.4074  0.1268  0.1279  1 P 1.56
O  0.4074  0.3732  0.1279  1 P 1.56
O  0.4109  0.0821  0.6018  1 P 1.54
O  0.4109  0.4179  0.6018  1 P 1.54
O  0.4631  0.7500  0.3211  2 P 1.62
O  0.5369  0.2500  0.6789  2 P 1.62
O  0.5891  0.5821  0.3982  1 P 1.54
O  0.5891  0.9179  0.3982  1 P 1.54
O  0.5926  0.6268  0.8721  1 P 1.56
O  0.5926  0.8732  0.8721  1 P 1.56
O  0.6163  0.2500  0.0668  2 P 1.62
O  0.6450  0.0730  0.7421  1 P 1.50
O  0.6450  0.4270  0.7421  1 P 1.50
O  0.6467  0.0510  0.0318  1 P 1.49
O  0.6467  0.4490  0.0318  1 P 1.49
O  0.6482  0.1275  0.2542  1 P 1.53
O  0.6482  0.3725  0.2542  1 P 1.53
O  0.6573  0.1324  0.5116  1 P 1.54
O  0.6573  0.3676  0.5116  1 P 1.54
O  0.8427  0.6324  0.0116  1 P 1.54
O  0.8427  0.8676  0.0116  1 P 1.54
O  0.8518  0.6275  0.7542  1 P 1.53
O  0.8518  0.8725  0.7542  1 P 1.53
O  0.8533  0.5510  0.5318  1 P 1.49
O  0.8533  0.9490  0.5318  1 P 1.49
O  0.8550  0.5730  0.2421  1 P 1.50
O  0.8550  0.9270  0.2421  1 P 1.50
O  0.8837  0.7500  0.5668  2 P 1.62
O  0.9074  0.1268  0.3721  1 P 1.56
O  0.9074  0.3732  0.3721  1 P 1.56
O  0.9109  0.0821  0.8982  1 P 1.54
O  0.9109  0.4179  0.8982  1 P 1.54
O  0.9631  0.7500  0.1789  2 P 1.62

Summary:
crystal system: orthorhombic
space group: Pnma (62)

# 3
A relaxed Mn3P4O16 crystal, computed with PBE with a Hubbard U.

Cell: 7.6038 7.4900 10.0349 Å, 90.00 93.24 90.00°
With the nearest neighbours (Å) after each atom.
Atoms (fractional coordinates):
Mn  0.1551  0.0000  0.3196  5 O 1.80-1.94
Mn  0.2660  0.6163  0.3727  5 O 1.82-1.96
Mn  0.2790  0.6549  0.8747  5 O 1.84-1.94
Mn  0.7210  0.1549  0.1253  5 O 1.84-1.94
Mn  0.7340  0.1163  0.6273  5 O 1.82-1.96
Mn  0.8449  0.5000  0.6804  5 O 1.80-1.94
P  0.0592  0.8104  0.1010  2 O 1.46-1.54
P  0.0659  0.8459  0.6157  4 O 1.52-1.60
P  0.4499  0.4647  0.1327  4 O 1.47-1.60
P  0.4516  0.4360  0.6411  4 O 1.54-1.57
P  0.5484  0.9360  0.3589  4 O 1.54-1.57
P  0.5501  0.9647  0.8673  4 O 1.47-1.60
P  0.9341  0.3459  0.3843  4 O 1.52-1.60
P  0.9408  0.3104  0.8990  2 O 1.46-1.54
O  0.0085  0.0063  0.1611  1 P 1.64
O  0.0242  0.5257  0.3619  1 P 1.53
O  0.0770  0.1991  0.3982  1 P 1.55
O  0.0859  0.1816  0.9041  1 P 1.46
O  0.1514  0.8443  0.4734  1 P 1.60
O  0.1643  0.8318  0.9754  1 P 1.54
O  0.2078  0.7829  0.2267  1 P 1.66
O  0.2135  0.7943  0.7171  1 P 1.52
O  0.2989  0.5091  0.0235  1 P 1.58
O  0.3119  0.4956  0.5310  1 P 1.55
O  0.3449  0.4414  0.2659  1 P 1.60
O  0.3597  0.4578  0.7730  1 P 1.54
O  0.3857  0.0648  0.3558  1 P 1.57
O  0.4070  0.0972  0.8556  1 P 1.47
O  0.4866  0.7441  0.3899  1 P 1.55
O  0.4958  0.7634  0.8958  1 P 1.59
O  0.5042  0.2634  0.1042  1 P 1.59
O  0.5134  0.2441  0.6101  1 P 1.55
O  0.5930  0.5972  0.1444  1 P 1.47
O  0.6143  0.5648  0.6442  1 P 1.57
O  0.6403  0.9578  0.2270  1 P 1.54
O  0.6551  0.9414  0.7341  1 P 1.60
O  0.6881  0.9956  0.4690  1 P 1.55
O  0.7011  0.0091  0.9765  1 P 1.58
O  0.7865  0.2943  0.2829  1 P 1.52
O  0.7922  0.2829  0.7733  1 P 1.66
O  0.8357  0.3318  0.0246  1 P 1.54
O  0.8486  0.3443  0.5266  1 P 1.60
O  0.9141  0.6816  0.0959  1 P 1.46
O  0.9230  0.6991  0.6018  1 P 1.55
O  0.9758  0.0257  0.6381  1 P 1.53
O  0.9915  0.5063  0.8389  1 P 1.64

Summary:
crystal system: monoclinic
space group: P2_1 (4)

# 4
A relaxed MnPO4 crystal, computed with PBE with a Hubbard U.

Cell: 8.4729 5.4411 8.6360 Å, 90.00 104.37 90.00°
With the nearest neighbours (Å) after each atom.
Atoms (fractional coordinates):
Mn  0.0000  0.1808  0.0000  4 O 1.91-1.97
Mn  0.0000  0.8192  0.5000  4 O 1.91-1.97
Mn  0.4739  0.3096  0.6630  4 O 1.89-1.93
Mn  0.4739  0.6904  0.1630  4 O 1.89-1.93
P  0.1253  0.3224  0.3665  4 O 1.54-1.56
P  0.1253  0.6776  0.8665  4 O 1.54-1.56
P  0.6153  0.1993  0.0489  4 O 1.54-1.56
P  0.6153  0.8007  0.5489  4 O 1.54-1.56
O  0.0737  0.4031  0.8618  1 P 1.55
O  0.0737  0.5969  0.3618  1 P 1.55
O  0.1493  0.2677  0.1965  1 P 1.56
O  0.1493  0.7323  0.6965  1 P 1.56
O  0.2896  0.2754  0.4863  1 P 1.54
O  0.2896  0.7246  0.9863  1 P 1.54
O  0.4968  0.2446  0.8820  1 P 1.56
O  0.4968  0.7554  0.3820  1 P 1.56
O  0.5588  0.3605  0.1722  1 P 1.54
O  0.5588  0.6395  0.6722  1 P 1.54
O  0.6120  0.0704  0.6018  1 P 1.54
O  0.6120  0.9296  0.1018  1 P 1.54
O  0.7905  0.2566  0.0403  1 P 1.54
O  0.7905  0.7434  0.5403  1 P 1.54
O  0.9957  0.1512  0.4070  1 P 1.55
O  0.9957  0.8488  0.9070  1 P 1.55

Summary:
crystal system: monoclinic
space group: Pc (7)

Number 1: VASP energy -6.87 eV per atom. Number 2: VASP energy -7.43 eV per atom. Number 3: VASP energy -7.05 eV per atom. Number 4: VASP energy -7.33 eV per atom.